1.
Compound: MgMn6O6F6
Source: the Materials Project database
Functional: PBE+U
Structure: optimized geometry Values from VASP.

Calculated values
The crystal system is monoclinic. The calculation puts the volume at 12.537 Å³ per atom. As for the energy relative to the elements: -2.459 eV/atom. The value obtained for the offset from the most stable computed form is 2 meV/atom. The uncorrected energy comes out at -127.6 eV per formula unit. The space group is P2 (3).

The structure in Quantum ESPRESSO input format:
```
&SYSTEM
  ibrav = 0, nat = 19, ntyp = 4
/
ATOMIC_SPECIES
Mg 24.30 Mg.upf
Mn 54.94 Mn.upf
O 16.00 O.upf
F 19.00 F.upf
CELL_PARAMETERS angstrom
5.254 0.000 0.000
0.000 3.151 0.000
-1.982 0.000 14.387
ATOMIC_POSITIONS crystal
Mg 0.000 0.000 0.000
Mn 0.000 0.021 0.500
Mn 0.235 0.017 0.790
Mn 0.373 0.520 0.347
Mn 0.500 0.502 0.000
Mn 0.627 0.520 0.653
Mn 0.765 0.017 0.210
O 0.128 0.521 0.433
O 0.314 0.002 0.932
O 0.391 0.518 0.745
O 0.609 0.518 0.255
O 0.686 0.002 0.068
O 0.872 0.521 0.567
F 0.157 0.019 0.269
F 0.164 0.499 0.075
F 0.419 0.020 0.592
F 0.581 0.020 0.408
F 0.836 0.499 0.925
F 0.843 0.019 0.731
```

2.
Compound: Sr2CoSeO2
Source: the Materials Project database
Functional: PBE+U
Structure: optimized geometry Values from VASP.

Calculated values
The crystal system is tetragonal. The calculation puts the volume at 18.898 Å³ per atom. As for the energy relative to the elements: -2.066 eV/atom. The uncorrected energy comes out at -33.3 eV per formula unit. The space group is P4/mmm (123).

The structure in Quantum ESPRESSO input format:
```
&SYSTEM
  ibrav = 0, nat = 6, ntyp = 4
/
ATOMIC_SPECIES
Sr 87.62 Sr.upf
Co 58.93 Co.upf
Se 78.96 Se.upf
O 16.00 O.upf
CELL_PARAMETERS angstrom
4.041 0.000 0.000
0.000 4.041 0.000
0.000 0.000 6.942
ATOMIC_POSITIONS crystal
Sr 0.000 0.000 0.240
Sr 0.000 0.000 0.760
Co 0.500 0.500 0.000
Se 0.500 0.500 0.500
O 0.000 0.500 0.000
O 0.500 0.000 0.000
```

3.
Compound: CsVSO6
Source: the Materials Project database
Functional: PBE+U
Structure: optimized geometry Values from VASP.

Calculated values
The crystal system is monoclinic. The calculation puts the volume at 17.617 Å³ per atom. As for the energy relative to the elements: -2.209 eV/atom. The value obtained for the offset from the most stable computed form is 7 meV/atom. The uncorrected energy comes out at -57.9 eV per formula unit. The space group is P2_1/c (14).

The structure in Quantum ESPRESSO input format:
```
&SYSTEM
  ibrav = 0, nat = 72, ntyp = 4
/
ATOMIC_SPECIES
Cs 132.91 Cs.upf
V 50.94 V.upf
S 32.06 S.upf
O 16.00 O.upf
CELL_PARAMETERS angstrom
9.095 0.000 0.000
0.000 14.823 0.000
-1.399 0.000 9.409
ATOMIC_POSITIONS crystal
Cs 0.179 0.054 0.367
Cs 0.179 0.446 0.867
Cs 0.275 0.101 0.912
Cs 0.275 0.399 0.412
Cs 0.725 0.601 0.588
Cs 0.725 0.899 0.088
Cs 0.821 0.554 0.133
Cs 0.821 0.946 0.633
V 0.228 0.673 0.618
V 0.228 0.827 0.118
V 0.421 0.721 0.916
V 0.421 0.779 0.416
V 0.579 0.221 0.584
V 0.579 0.279 0.084
V 0.772 0.173 0.882
V 0.772 0.327 0.382
S 0.016 0.720 0.854
S 0.016 0.780 0.354
S 0.385 0.604 0.198
S 0.385 0.896 0.698
S 0.615 0.104 0.302
S 0.615 0.396 0.802
S 0.984 0.220 0.646
S 0.984 0.280 0.146
O 0.039 0.129 0.623
O 0.039 0.371 0.123
O 0.059 0.724 0.704
O 0.059 0.776 0.204
O 0.089 0.208 0.136
O 0.089 0.292 0.636
O 0.159 0.579 0.548
O 0.159 0.735 0.958
O 0.159 0.765 0.458
O 0.159 0.921 0.048
O 0.254 0.547 0.164
O 0.254 0.953 0.664
O 0.320 0.636 0.786
O 0.320 0.864 0.286
O 0.337 0.695 0.252
O 0.337 0.805 0.752
O 0.406 0.691 0.541
O 0.406 0.809 0.041
O 0.407 0.223 0.613
O 0.407 0.277 0.113
O 0.449 0.626 0.061
O 0.449 0.874 0.561
O 0.495 0.064 0.202
O 0.495 0.436 0.702
O 0.505 0.564 0.298
O 0.505 0.936 0.798
O 0.551 0.126 0.439
O 0.551 0.374 0.939
O 0.593 0.723 0.887
O 0.593 0.777 0.387
O 0.594 0.191 0.959
O 0.594 0.309 0.459
O 0.663 0.195 0.248
O 0.663 0.305 0.748
O 0.680 0.136 0.714
O 0.680 0.364 0.214
O 0.746 0.047 0.336
O 0.746 0.453 0.836
O 0.841 0.079 0.952
O 0.841 0.235 0.542
O 0.841 0.265 0.042
O 0.841 0.421 0.452
O 0.911 0.708 0.364
O 0.911 0.792 0.864
O 0.941 0.224 0.796
O 0.941 0.276 0.296
O 0.961 0.629 0.877
O 0.961 0.871 0.377
```

4.
Compound: MgZn2Co2P2O10
Source: the Materials Project database
Functional: PBE+U
Structure: optimized geometry Values from VASP.

Calculated values
The crystal system is triclinic. The calculation puts the volume at 11.868 Å³ per atom. As for the energy relative to the elements: -2.167 eV/atom. The value obtained for the offset from the most stable computed form is 36 meV/atom. The uncorrected energy comes out at -105.3 eV per formula unit. The space group is P1 (1).

The structure in Quantum ESPRESSO input format:
```
&SYSTEM
  ibrav = 0, nat = 17, ntyp = 5
/
ATOMIC_SPECIES
Mg 24.30 Mg.upf
Zn 65.41 Zn.upf
Co 58.93 Co.upf
P 30.97 P.upf
O 16.00 O.upf
CELL_PARAMETERS angstrom
5.502 0.000 0.000
-0.225 5.762 0.000
-1.937 -2.068 6.365
ATOMIC_POSITIONS crystal
Mg 0.000 0.000 0.000
Zn 0.262 0.382 0.506
Zn 0.655 0.605 0.998
Co 0.427 0.979 0.733
Co 0.608 0.068 0.308
P 0.157 0.464 0.020
P 0.811 0.661 0.523
O 0.034 0.838 0.705
O 0.178 0.741 0.112
O 0.249 0.316 0.180
O 0.321 0.393 0.865
O 0.425 0.103 0.509
O 0.574 0.653 0.603
O 0.645 0.952 0.014
O 0.755 0.748 0.327
O 0.873 0.353 0.907
O 0.890 0.398 0.460
```

5.
Compound: FeP3O9
Source: the Materials Project database
Functional: PBE+U
Structure: optimized geometry Values from VASP.

Calculated values
The calculation puts the volume at 12.764 Å³ per atom. As for the energy relative to the elements: -2.417 eV/atom. The value obtained for the offset from the most stable computed form is 62 meV/atom. The uncorrected energy comes out at -92.2 eV per formula unit.

The structure in Quantum ESPRESSO input format:
```
&SYSTEM
  ibrav = 0, nat = 52, ntyp = 3
/
ATOMIC_SPECIES
O 16.00 O.upf
P 30.97 P.upf
Fe 55.84 Fe.upf
CELL_PARAMETERS angstrom
-0.702 -4.762 -4.664
14.535 -1.569 -1.748
-1.384 -4.947 4.603
ATOMIC_POSITIONS crystal
O 0.702 0.197 0.031
O 0.131 0.175 0.758
P 0.333 0.399 0.116
P 0.333 0.899 0.116
O 0.950 0.338 0.855
P 0.144 0.279 0.796
O 0.950 0.838 0.855
P 0.665 0.100 0.444
O 0.451 0.093 0.418
O 0.170 0.470 0.081
O 0.181 0.477 0.662
O 0.050 0.662 0.145
O 0.717 0.125 0.676
P 0.856 0.721 0.204
P 0.667 0.101 0.884
P 0.667 0.601 0.884
O 0.547 0.418 0.079
Fe 0.165 0.572 0.903
O 0.549 0.407 0.582
P 0.856 0.221 0.204
O 0.451 0.593 0.418
O 0.819 0.523 0.338
O 0.702 0.697 0.031
Fe 0.835 0.928 0.097
O 0.453 0.082 0.921
O 0.744 0.198 0.394
O 0.830 0.530 0.919
O 0.256 0.302 0.606
O 0.547 0.918 0.079
P 0.144 0.779 0.796
O 0.131 0.675 0.758
O 0.283 0.375 0.325
O 0.549 0.907 0.582
O 0.869 0.325 0.242
Fe 0.164 0.072 0.903
O 0.830 0.030 0.919
O 0.298 0.303 0.969
P 0.335 0.400 0.556
P 0.665 0.600 0.444
O 0.283 0.875 0.325
Fe 0.835 0.428 0.097
O 0.050 0.162 0.145
O 0.717 0.625 0.675
O 0.453 0.582 0.921
O 0.744 0.698 0.394
O 0.819 0.023 0.338
O 0.256 0.802 0.606
O 0.170 0.970 0.081
O 0.869 0.825 0.242
P 0.335 0.900 0.556
O 0.181 0.977 0.662
O 0.298 0.803 0.969
```

6.
Compound: MgV4O10
Source: the Materials Project database
Functional: PBE+U
Structure: optimized geometry Values from VASP.

Calculated values
The crystal system is monoclinic. The calculation puts the volume at 12.783 Å³ per atom. As for the energy relative to the elements: -2.413 eV/atom. The value obtained for the offset from the most stable computed form is 80 meV/atom. The uncorrected energy comes out at -109.9 eV per formula unit. The space group is Pm (6).

The structure in Quantum ESPRESSO input format:
```
&SYSTEM
  ibrav = 0, nat = 15, ntyp = 3
/
ATOMIC_SPECIES
Mg 24.30 Mg.upf
V 50.94 V.upf
O 16.00 O.upf
CELL_PARAMETERS angstrom
6.618 0.000 0.000
0.000 3.668 0.000
-0.212 0.000 7.899
ATOMIC_POSITIONS crystal
Mg 0.000 0.000 0.000
V 0.311 0.500 0.897
V 0.331 0.000 0.555
V 0.714 0.500 0.721
V 0.786 0.000 0.406
O 0.086 0.000 0.488
O 0.191 0.500 0.083
O 0.252 0.000 0.836
O 0.367 0.500 0.635
O 0.471 0.000 0.379
O 0.560 0.500 0.942
O 0.651 0.000 0.671
O 0.782 0.500 0.487
O 0.831 0.000 0.198
O 0.934 0.500 0.846
```

7.
Compound: Bi2MoO6
Source: the Materials Project database
Functional: PBE+U
Structure: optimized geometry Values from VASP.

Calculated values
The crystal system is orthorhombic. The calculation puts the volume at 13.798 Å³ per atom. As for the energy relative to the elements: -1.813 eV/atom. The uncorrected energy comes out at -57.3 eV per formula unit. The space group is Pbca (61).

The structure in Quantum ESPRESSO input format:
```
&SYSTEM
  ibrav = 0, nat = 36, ntyp = 3
/
ATOMIC_SPECIES
Bi 208.98 Bi.upf
Mo 95.94 Mo.upf
O 16.00 O.upf
CELL_PARAMETERS angstrom
5.403 0.000 0.000
0.000 16.949 0.000
0.000 0.000 5.424
ATOMIC_POSITIONS crystal
Bi 0.006 0.173 0.022
Bi 0.006 0.327 0.522
Bi 0.494 0.673 0.022
Bi 0.494 0.827 0.522
Bi 0.506 0.173 0.478
Bi 0.506 0.327 0.978
Bi 0.994 0.673 0.478
Bi 0.994 0.827 0.978
Mo 0.000 0.000 0.500
Mo 0.000 0.500 0.000
Mo 0.500 0.000 0.000
Mo 0.500 0.500 0.500
O 0.013 0.610 0.074
O 0.013 0.890 0.574
O 0.209 0.518 0.707
O 0.209 0.982 0.207
O 0.248 0.749 0.752
O 0.248 0.751 0.252
O 0.252 0.249 0.752
O 0.252 0.251 0.252
O 0.291 0.018 0.707
O 0.291 0.482 0.207
O 0.487 0.110 0.074
O 0.487 0.390 0.574
O 0.513 0.610 0.426
O 0.513 0.890 0.926
O 0.709 0.518 0.793
O 0.709 0.982 0.293
O 0.748 0.749 0.748
O 0.748 0.751 0.248
O 0.752 0.249 0.748
O 0.752 0.251 0.248
O 0.791 0.018 0.793
O 0.791 0.482 0.293
O 0.987 0.110 0.426
O 0.987 0.390 0.926
```

8.
Compound: Li9Mn2Co5O16
Source: the Materials Project database
Functional: PBE+U
Structure: optimized geometry Values from VASP.

Calculated values
The crystal system is triclinic. The calculation puts the volume at 9.047 Å³ per atom. As for the energy relative to the elements: -1.799 eV/atom. The value obtained for the offset from the most stable computed form is 65 meV/atom. The uncorrected energy comes out at -185.3 eV per formula unit. The space group is P1 (1).

The structure in Quantum ESPRESSO input format:
```
&SYSTEM
  ibrav = 0, nat = 32, ntyp = 4
/
ATOMIC_SPECIES
Li 6.94 Li.upf
Mn 54.94 Mn.upf
Co 58.93 Co.upf
O 16.00 O.upf
CELL_PARAMETERS angstrom
2.991 0.000 0.000
0.297 9.889 0.000
1.377 2.891 9.788
ATOMIC_POSITIONS crystal
Li 0.000 0.000 0.000
Li 0.037 0.295 0.880
Li 0.178 0.930 0.622
Li 0.306 0.555 0.371
Li 0.425 0.173 0.118
Li 0.538 0.803 0.880
Li 0.684 0.438 0.623
Li 0.805 0.051 0.371
Li 0.929 0.681 0.126
Mn 0.230 0.241 0.496
Mn 0.603 0.112 0.757
Co 0.112 0.619 0.749
Co 0.372 0.872 0.239
Co 0.489 0.490 0.999
Co 0.743 0.742 0.495
Co 0.869 0.366 0.246
O 0.020 0.646 0.930
O 0.094 0.980 0.805
O 0.121 0.252 0.687
O 0.208 0.590 0.567
O 0.269 0.889 0.424
O 0.300 0.222 0.311
O 0.440 0.513 0.181
O 0.445 0.833 0.083
O 0.530 0.148 0.923
O 0.587 0.470 0.816
O 0.643 0.769 0.677
O 0.660 0.093 0.565
O 0.797 0.718 0.317
O 0.803 0.391 0.429
O 0.921 0.008 0.193
O 0.966 0.344 0.066
```